No. 1
VASP calculation (PBE) on crystalline CeAl3Ag at its relaxed geometry.

Structure (POSCAR):
```
CeAl3Ag
1.0
-2.178 2.178 5.489
2.178 -2.178 5.489
2.178 2.178 -5.489
Ce Al Ag
1 3 1
Direct
0.000 0.000 0.000 Ce
0.238 0.738 0.500 Al
0.594 0.594 0.000 Al
0.738 0.238 0.500 Al
0.367 0.367 0.000 Ag
```

Energy relative to the elements = -0.35 eV/atom
Crystal system = tetragonal
E = -4.3531 eV per atom
Symmetry = I4mm, No. 107

No. 2
VASP calculation (PBE) on crystalline CeAlAg2 at its relaxed geometry.

Structure (POSCAR):
```
CeAlAg2
1.0
0.000 3.499 3.499
3.499 0.000 3.499
3.499 3.499 0.000
Ce Al Ag
1 1 2
Direct
0.000 0.000 0.000 Ce
0.500 0.500 0.500 Al
0.250 0.250 0.250 Ag
0.750 0.750 0.750 Ag
```

Energy relative to the elements = -0.21 eV/atom
Crystal system = cubic
E = -4.0416 eV per atom
Symmetry = Fm-3m, No. 225

No. 3
VASP calculation (PBE) on crystalline Rb2AlAgCl6 at its relaxed geometry.

Structure (POSCAR):
```
Rb2AlAgCl6
1.0
0.000 5.119 5.119
5.119 0.000 5.119
5.119 5.119 0.000
Rb Al Ag Cl
2 1 1 6
Direct
0.250 0.250 0.250 Rb
0.750 0.750 0.750 Rb
0.000 0.000 0.000 Al
0.500 0.500 0.500 Ag
0.230 0.230 0.770 Cl
0.230 0.770 0.230 Cl
0.230 0.770 0.770 Cl
0.770 0.230 0.230 Cl
0.770 0.230 0.770 Cl
0.770 0.770 0.230 Cl
```

Energy relative to the elements = -1.86 eV/atom
Crystal system = cubic
E = -3.4564 eV per atom
Symmetry = Fm-3m, No. 225

No. 4
VASP calculation (PBE) on crystalline CsAlAgF6 at its relaxed geometry.

Structure (POSCAR):
```
CsAlAgF6
1.0
7.576 0.000 0.000
0.000 7.347 0.000
0.000 0.000 10.549
Cs Al Ag F
4 4 4 24
Direct
0.021 0.250 0.134 Cs
0.479 0.750 0.634 Cs
0.521 0.250 0.366 Cs
0.979 0.750 0.866 Cs
0.000 0.000 0.500 Al
0.000 0.500 0.500 Al
0.500 0.000 0.000 Al
0.500 0.500 0.000 Al
0.216 0.250 0.754 Ag
0.284 0.750 0.254 Ag
0.716 0.250 0.746 Ag
0.784 0.750 0.246 Ag
0.036 0.250 0.495 F
0.037 0.750 0.169 F
0.132 0.513 0.645 F
0.132 0.987 0.645 F
0.200 0.530 0.407 F
0.200 0.970 0.407 F
0.300 0.030 0.907 F
0.300 0.470 0.907 F
0.368 0.013 0.145 F
0.368 0.487 0.145 F
0.463 0.250 0.669 F
0.464 0.750 0.995 F
0.536 0.250 0.005 F
0.537 0.750 0.331 F
0.632 0.513 0.855 F
0.632 0.987 0.855 F
0.700 0.530 0.093 F
0.700 0.970 0.093 F
0.800 0.030 0.593 F
0.800 0.470 0.593 F
0.868 0.013 0.355 F
0.868 0.487 0.355 F
0.963 0.250 0.831 F
0.964 0.750 0.505 F
```

Energy relative to the elements = -2.91 eV/atom
Crystal system = orthorhombic
E = -4.7104 eV per atom
Symmetry = Pnma, No. 62

No. 5
VASP calculation (PBE) on crystalline AlCu3Ag4O12 at its relaxed geometry.

Structure (POSCAR):
```
AlCu3Ag4O12
1.0
-3.853 3.853 3.853
3.853 -3.853 3.853
3.853 3.853 -3.853
Al Cu Ag O
1 3 4 12
Direct
0.000 0.000 0.000 Al
0.000 0.500 0.500 Cu
0.500 0.000 0.500 Cu
0.500 0.500 0.000 Cu
0.000 0.000 0.500 Ag
0.000 0.500 0.000 Ag
0.500 0.000 0.000 Ag
0.500 0.500 0.500 Ag
0.154 0.845 0.309 O
0.155 0.309 0.464 O
0.155 0.691 0.846 O
0.309 0.154 0.845 O
0.309 0.464 0.155 O
0.464 0.155 0.309 O
0.536 0.845 0.691 O
0.691 0.536 0.845 O
0.691 0.846 0.155 O
0.845 0.309 0.154 O
0.845 0.691 0.536 O
0.846 0.155 0.691 O
```

Energy relative to the elements = -0.58 eV/atom
Crystal system = cubic
E = -4.5041 eV per atom
Symmetry = Im-3, No. 204

No. 6
VASP calculation (PBE) on crystalline Sr2AlCu2AgO7 at its relaxed geometry.

Structure (POSCAR):
```
Sr2AlCu2AgO7
1.0
5.249 0.000 0.000
-0.008 5.250 0.000
-2.576 -2.578 11.969
Sr Al Cu Ag O
4 2 4 2 14
Direct
0.000 0.000 0.000 Sr
0.197 0.197 0.401 Sr
0.502 0.499 0.000 Sr
0.701 0.698 0.401 Sr
0.342 0.319 0.702 Al
0.857 0.834 0.701 Al
0.287 0.769 0.580 Cu
0.417 0.899 0.822 Cu
0.784 0.274 0.581 Cu
0.912 0.403 0.821 Cu
0.111 0.596 0.201 Ag
0.588 0.096 0.200 Ag
0.019 0.511 0.025 O
0.089 0.075 0.799 O
0.110 0.108 0.201 O
0.112 0.098 0.590 O
0.192 0.684 0.377 O
0.222 0.571 0.801 O
0.472 0.457 0.599 O
0.507 0.011 0.024 O
0.585 0.219 0.810 O
0.592 0.611 0.201 O
0.615 0.962 0.600 O
0.680 0.185 0.376 O
0.736 0.722 0.810 O
0.966 0.601 0.591 O
```

Energy relative to the elements = -1.96 eV/atom
Crystal system = triclinic
E = -5.6496 eV per atom
Symmetry = P1, No. 1

No. 7
VASP calculation (PBE) on crystalline DyAlAg2 at its relaxed geometry.

Structure (POSCAR):
```
DyAlAg2
1.0
0.000 3.423 3.423
3.423 0.000 3.423
3.423 3.423 0.000
Dy Al Ag
1 1 2
Direct
0.000 0.000 0.000 Dy
0.500 0.500 0.500 Al
0.250 0.250 0.250 Ag
0.750 0.750 0.750 Ag
```

Energy relative to the elements = -0.34 eV/atom
Crystal system = cubic
E = -3.8395 eV per atom
Symmetry = Fm-3m, No. 225

No. 8
VASP calculation (PBE) on crystalline ErAlAg2 at its relaxed geometry.

Structure (POSCAR):
```
ErAlAg2
1.0
0.000 3.403 3.403
3.403 0.000 3.403
3.403 3.403 0.000
Er Al Ag
1 1 2
Direct
0.000 0.000 0.000 Er
0.500 0.500 0.500 Al
0.250 0.250 0.250 Ag
0.750 0.750 0.750 Ag
```

Energy relative to the elements = -0.34 eV/atom
Crystal system = cubic
E = -3.8304 eV per atom
Symmetry = Fm-3m, No. 225

No. 9
VASP calculation (PBE) on crystalline EuAl2Ag3 at its relaxed geometry.

Structure (POSCAR):
```
EuAl2Ag3
1.0
5.773 0.000 0.000
-2.887 5.000 0.000
0.000 0.000 4.388
Eu Al Ag
1 2 3
Direct
0.000 0.000 0.000 Eu
0.333 0.667 0.000 Al
0.667 0.333 0.000 Al
0.000 0.500 0.500 Ag
0.500 0.000 0.500 Ag
0.500 0.500 0.500 Ag
```

Energy relative to the elements = -0.24 eV/atom
Crystal system = hexagonal
E = -4.6112 eV per atom
Symmetry = P6/mmm, No. 191

No. 10
VASP calculation (PBE) on crystalline Eu2Al3Ag at its relaxed geometry.

Structure (POSCAR):
```
Eu2Al3Ag
1.0
2.868 1.656 4.616
-2.868 1.656 4.616
0.000 -3.311 4.616
Eu Al Ag
2 3 1
Direct
0.124 0.124 0.124 Eu
0.876 0.876 0.876 Eu
0.000 0.500 0.500 Al
0.500 0.000 0.500 Al
0.500 0.500 0.000 Al
0.500 0.500 0.500 Ag
```

Energy relative to the elements = -0.36 eV/atom
Crystal system = trigonal
E = -6.1251 eV per atom
Symmetry = R-3m, No. 166

No. 11
VASP calculation (PBE) on crystalline Gd3Al7Ag2 at its relaxed geometry.

Structure (POSCAR):
```
Gd3Al7Ag2
1.0
2.790 1.611 8.820
-2.790 1.611 8.820
0.000 -3.222 8.820
Gd Al Ag
3 7 2
Direct
0.000 0.000 0.000 Gd
0.142 0.142 0.142 Gd
0.858 0.858 0.858 Gd
0.078 0.586 0.586 Al
0.414 0.414 0.922 Al
0.414 0.922 0.414 Al
0.500 0.500 0.500 Al
0.586 0.078 0.586 Al
0.586 0.586 0.078 Al
0.922 0.414 0.414 Al
0.336 0.336 0.336 Ag
0.664 0.664 0.664 Ag
```

Energy relative to the elements = -0.47 eV/atom
Crystal system = trigonal
E = -6.6431 eV per atom
Symmetry = R-3m, No. 166

No. 12
VASP calculation (PBE) on crystalline Pr5Al4Ag2Ge4 at its relaxed geometry.

Structure (POSCAR):
```
Pr5Al4Ag2Ge4
1.0
4.310 0.000 0.000
0.000 2.166 19.062
0.000 -2.166 19.062
Pr Al Ag Ge
5 4 2 4
Direct
0.000 0.000 0.000 Pr
0.000 0.193 0.193 Pr
0.000 0.389 0.389 Pr
0.000 0.596 0.596 Pr
0.000 0.790 0.790 Pr
0.500 0.128 0.128 Al
0.500 0.462 0.462 Al
0.500 0.529 0.529 Al
0.500 0.726 0.726 Al
0.500 0.325 0.325 Ag
0.500 0.928 0.928 Ag
0.500 0.063 0.063 Ge
0.500 0.258 0.258 Ge
0.500 0.660 0.660 Ge
0.500 0.860 0.860 Ge
```

Energy relative to the elements = -0.56 eV/atom
Crystal system = orthorhombic
E = -4.7672 eV per atom
Symmetry = Amm2, No. 38

No. 13
VASP calculation (PBE) on crystalline Hf2Al3Ag at its relaxed geometry.

Structure (POSCAR):
```
Hf2Al3Ag
1.0
2.667 1.540 4.289
-2.667 1.540 4.289
0.000 -3.080 4.289
Hf Al Ag
2 3 1
Direct
0.123 0.123 0.123 Hf
0.877 0.877 0.877 Hf
0.000 0.500 0.500 Al
0.500 0.000 0.500 Al
0.500 0.500 0.000 Al
0.500 0.500 0.500 Ag
```

Energy relative to the elements = -0.36 eV/atom
Crystal system = trigonal
E = -6.0230 eV per atom
Symmetry = R-3m, No. 166

No. 14
VASP calculation (PBE) on crystalline AlInAg2S4 at its relaxed geometry.

Structure (POSCAR):
```
AlInAg2S4
1.0
-2.922 2.922 5.497
2.922 -2.922 5.497
2.922 2.922 -5.497
Al In Ag S
1 1 2 4
Direct
0.000 0.000 0.000 Al
0.750 0.250 0.500 In
0.250 0.750 0.500 Ag
0.500 0.500 0.000 Ag
0.106 0.116 0.456 S
0.350 0.894 0.010 S
0.660 0.650 0.544 S
0.884 0.340 0.990 S
```

Energy relative to the elements = -0.84 eV/atom
Crystal system = tetragonal
E = -4.1784 eV per atom
Symmetry = I-4, No. 82

No. 15
VASP calculation (PBE) on crystalline Al4InAgS8 at its relaxed geometry.

Structure (POSCAR):
```
Al4InAgS8
1.0
3.639 2.101 6.050
-3.639 2.101 6.050
0.000 -4.202 6.050
Al In Ag S
4 1 1 8
Direct
0.000 0.000 0.000 Al
0.148 0.616 0.616 Al
0.616 0.148 0.616 Al
0.616 0.616 0.148 Al
0.621 0.621 0.621 In
0.252 0.252 0.252 Ag
0.375 0.375 0.843 S
0.375 0.843 0.375 S
0.387 0.387 0.387 S
0.394 0.876 0.876 S
0.843 0.375 0.375 S
0.867 0.867 0.867 S
0.876 0.394 0.876 S
0.876 0.876 0.394 S
```

Energy relative to the elements = -1.12 eV/atom
Crystal system = trigonal
E = -4.6620 eV per atom
Symmetry = R3m, No. 160

No. 16
VASP calculation (PBE) on crystalline AlInAg2Se4 at its relaxed geometry.

Structure (POSCAR):
```
AlInAg2Se4
1.0
-3.059 3.059 5.802
3.059 -3.059 5.802
3.059 3.059 -5.802
Al In Ag Se
1 1 2 4
Direct
0.000 0.000 0.000 Al
0.750 0.250 0.500 In
0.250 0.750 0.500 Ag
0.500 0.500 0.000 Ag
0.112 0.117 0.464 Se
0.352 0.888 0.004 Se
0.652 0.648 0.536 Se
0.883 0.348 0.996 Se
```

Energy relative to the elements = -0.75 eV/atom
Crystal system = tetragonal
E = -3.7856 eV per atom
Symmetry = I-4, No. 82

No. 17
VASP calculation (PBE) on crystalline Al4InAgTe8 at its relaxed geometry.

Structure (POSCAR):
```
Al4InAgTe8
1.0
4.430 -5.931 0.000
4.430 5.931 0.000
-0.036 0.000 8.911
Al In Ag Te
4 1 1 8
Direct
0.000 0.000 0.000 Al
0.000 0.479 0.247 Al
0.521 0.000 0.753 Al
0.522 0.478 0.500 Al
0.009 0.991 0.500 In
0.511 0.489 0.000 Ag
0.116 0.368 0.994 Te
0.141 0.394 0.509 Te
0.142 0.846 0.765 Te
0.154 0.858 0.235 Te
0.606 0.859 0.491 Te
0.632 0.884 0.006 Te
0.635 0.341 0.259 Te
0.659 0.365 0.741 Te
```

Energy relative to the elements = -0.63 eV/atom
Crystal system = monoclinic
E = -3.6586 eV per atom
Symmetry = C2, No. 5

No. 18
VASP calculation (PBE) on crystalline K2Al11Si13Ag9O48 at its relaxed geometry.

Structure (POSCAR):
```
K2Al11Si13Ag9O48
1.0
12.251 0.000 0.000
0.002 12.259 0.000
0.003 0.121 12.960
K Al Si Ag O
2 11 13 9 48
Direct
0.000 0.000 0.000 K
0.491 0.005 0.904 K
0.132 0.006 0.231 Al
0.289 0.007 0.018 Al
0.301 0.003 0.766 Al
0.492 0.369 0.232 Al
0.492 0.640 0.236 Al
0.493 0.211 0.017 Al
0.494 0.805 0.024 Al
0.497 0.632 0.581 Al
0.696 0.008 0.021 Al
0.857 0.006 0.229 Al
0.866 0.000 0.575 Al
0.122 0.000 0.571 Si
0.124 0.191 0.398 Si
0.124 0.816 0.398 Si
0.306 0.635 0.408 Si
0.309 0.371 0.406 Si
0.497 0.195 0.765 Si
0.497 0.372 0.576 Si
0.498 0.813 0.771 Si
0.679 0.373 0.399 Si
0.682 0.635 0.401 Si
0.685 0.005 0.768 Si
0.861 0.816 0.398 Si
0.863 0.192 0.398 Si
0.294 0.193 0.599 Ag
0.307 0.812 0.600 Ag
0.322 0.182 0.194 Ag
0.325 0.831 0.201 Ag
0.490 0.008 0.170 Ag
0.659 0.836 0.205 Ag
0.662 0.177 0.199 Ag
0.693 0.803 0.601 Ag
0.705 0.203 0.601 Ag
0.000 0.996 0.615 O
0.144 0.113 0.502 O
0.151 0.889 0.504 O
0.173 0.127 0.300 O
0.174 0.885 0.301 O
0.186 0.008 0.108 O
0.187 0.699 0.414 O
0.194 0.303 0.421 O
0.212 0.004 0.662 O
0.249 0.005 0.889 O
0.284 0.502 0.407 O
0.372 0.680 0.308 O
0.373 0.326 0.306 O
0.374 0.664 0.514 O
0.378 0.122 0.037 O
0.379 0.894 0.043 O
0.384 0.339 0.511 O
0.388 0.121 0.741 O
0.389 0.889 0.745 O
0.489 0.304 0.114 O
0.489 0.709 0.120 O
0.493 0.495 0.613 O
0.496 0.504 0.235 O
0.499 0.238 0.882 O
0.500 0.778 0.890 O
0.505 0.289 0.675 O
0.508 0.716 0.689 O
0.607 0.115 0.744 O
0.607 0.896 0.747 O
0.609 0.123 0.041 O
0.609 0.345 0.508 O
0.609 0.893 0.046 O
0.611 0.322 0.304 O
0.612 0.685 0.305 O
0.617 0.659 0.510 O
0.703 0.503 0.392 O
0.726 0.006 0.886 O
0.780 0.006 0.683 O
0.796 0.309 0.411 O
0.801 0.696 0.404 O
0.806 0.008 0.103 O
0.814 0.887 0.301 O
0.816 0.126 0.299 O
0.833 0.881 0.506 O
0.841 0.122 0.505 O
0.993 0.796 0.390 O
0.994 0.220 0.388 O
0.995 0.005 0.220 O
```

Relative energy among the computed polymorphs = 0 meV per atom
Energy relative to the elements = -2.73 eV/atom
Crystal system = triclinic
E = -6.8711 eV per atom
Symmetry = P1, No. 1